YAl3Ni2: relaxed, PBE.

The crystal system is hexagonal. As for the calculated volume: 15.949 Å³ per atom. Its formation energy is -4.0 eV per formula unit.

It has space group P6/mmm (No. 191), with a = 9.0160 Å, b = 9.0160 Å, c = 4.0781 Å, α = 90.00°, β = 90.00° and γ = 120.00°. The distinct sites, in fractional coordinates, are Y at (0.0000, 0.0000, 0.0000), Y at (0.3333, 0.6667, 0.5000), Al at (0.0000, 0.2966, 0.5000), Al at (0.0000, 0.5000, 0.0000) and Ni at (0.1820, 0.3641, 0.0000).